Here is an optimized crystal structure of Sn3H2O4 from the Materials Project. Energies are from meta-GGA r2SCAN. Values from VASP.

```
&SYSTEM
  ibrav = 0, nat = 36, ntyp = 3
/
ATOMIC_SPECIES
Sn 118.71 Sn.upf
H 1.01 H.upf
O 16.00 O.upf
CELL_PARAMETERS angstrom
7.924 0.000 0.000
0.000 7.924 0.000
0.000 0.000 9.078
ATOMIC_POSITIONS angstrom
Sn 6.301 4.905 4.566
Sn 2.339 6.981 9.052
Sn 1.623 3.019 4.566
Sn 5.585 0.943 9.052
Sn 4.905 1.623 4.513
Sn 6.981 5.585 0.027
Sn 3.019 6.301 4.513
Sn 0.943 2.339 0.027
Sn 3.962 3.962 7.056
Sn 0.000 0.000 6.562
Sn 3.962 3.962 2.022
Sn 0.000 0.000 2.517
H 5.237 6.530 6.695
H 1.275 5.356 6.923
H 2.687 1.394 6.695
H 6.649 2.568 6.923
H 6.530 2.687 2.383
H 5.356 6.649 2.156
H 1.394 5.237 2.383
H 2.568 1.275 2.156
O 4.831 5.905 6.058
O 0.869 5.981 7.559
O 3.093 2.019 6.058
O 7.055 1.943 7.559
O 5.905 3.093 3.020
O 5.981 7.055 1.519
O 2.019 4.831 3.020
O 1.943 0.869 1.519
O 5.420 3.324 5.647
O 1.458 0.638 7.970
O 2.504 4.600 5.647
O 6.466 7.286 7.970
O 3.324 2.504 3.431
O 0.638 6.466 1.108
O 4.600 5.420 3.431
O 7.286 1.458 1.108
```

* volume: 15.83 Å³ per atom
* magnetic moment: 0.00 μB/cell
* E: -465.58 eV/cell

---

Here is an optimized crystal structure of SrH16O10 from the Materials Project. Energies are from meta-GGA r2SCAN. Values from VASP.

```
&SYSTEM
  ibrav = 0, nat = 54, ntyp = 3
/
ATOMIC_SPECIES
Sr 87.62 Sr.upf
H 1.01 H.upf
O 16.00 O.upf
CELL_PARAMETERS angstrom
4.429 4.433 -0.002
-4.429 4.433 -0.002
0.000 0.057 10.947
ATOMIC_POSITIONS angstrom
Sr 4.416 4.445 2.748
Sr -4.416 4.474 8.222
H 1.861 2.171 4.045
H 0.509 2.972 3.863
H -0.493 5.918 3.889
H -0.776 6.873 5.130
H -1.478 3.949 3.874
H -2.290 2.604 4.059
H 1.471 4.956 3.883
H 2.419 5.235 5.126
H -1.471 4.985 9.356
H -2.419 5.263 10.599
H 2.290 2.633 9.532
H 1.478 3.978 9.348
H -1.861 2.200 9.519
H -0.509 3.001 9.337
H 0.493 5.946 9.362
H 0.776 6.901 10.604
H -0.516 5.950 7.107
H -1.866 6.751 6.919
H 0.486 3.000 7.079
H 0.770 2.048 5.835
H 1.471 4.966 7.099
H 2.283 6.311 6.918
H -1.476 3.960 7.095
H -2.423 3.680 5.850
H 1.476 3.931 1.621
H 2.423 3.651 0.376
H -2.283 6.282 1.445
H -1.471 4.938 1.625
H 1.866 6.723 1.446
H 0.516 5.921 1.633
H -0.486 2.971 1.605
H -0.770 2.019 0.361
O -0.002 4.439 3.491
O 0.002 4.468 8.965
O -0.004 4.479 7.483
O 0.004 4.450 2.010
O 0.878 2.066 4.110
O -0.849 6.825 4.144
O -2.384 3.588 4.129
O 2.376 5.316 4.139
O -2.376 5.344 9.612
O 2.384 3.616 9.603
O -0.878 2.095 9.584
O 0.849 6.853 9.617
O -0.883 6.855 6.855
O 0.843 2.095 6.822
O 2.378 5.328 6.846
O -2.381 3.599 6.837
O 2.381 3.570 1.363
O -2.378 5.299 1.373
O 0.883 6.826 1.382
O -0.843 2.066 1.348
```

* volume: 7.96 Å³ per atom
* magnetic moment: 0.00 μB/cell
* E: -324.16 eV/cell

---

Here is an optimized crystal structure of TbH3O3 from the Materials Project. Energies are from meta-GGA r2SCAN. Values from VASP.

```
&SYSTEM
  ibrav = 0, nat = 14, ntyp = 3
/
ATOMIC_SPECIES
Tb 158.93 Tb.upf
H 1.01 H.upf
O 16.00 O.upf
CELL_PARAMETERS angstrom
2.039 4.627 3.706
-4.033 -4.252 2.226
2.717 -2.032 1.041
ATOMIC_POSITIONS angstrom
Tb 2.053 0.144 3.994
Tb -1.329 -1.801 2.980
H 0.033 -1.845 5.386
H -0.486 0.396 5.062
H 1.209 -2.053 1.911
H 0.691 0.188 1.587
H 1.878 2.895 3.770
H -1.155 -4.551 3.203
O 0.106 1.157 5.005
O 0.493 -1.652 4.560
O 0.618 -2.814 1.968
O 0.230 -0.005 2.413
O 1.748 2.326 3.000
O -1.024 -3.983 3.973
```

* volume: 8.63 Å³ per atom
* magnetic moment: 0.00 μB/cell
* E: -148.74 eV/cell

---

Here is an optimized crystal structure of V3H5O8 from the Materials Project. Energies are from meta-GGA r2SCAN. Values from VASP.

```
&SYSTEM
  ibrav = 0, nat = 16, ntyp = 3
/
ATOMIC_SPECIES
V 50.94 V.upf
H 1.01 H.upf
O 16.00 O.upf
CELL_PARAMETERS angstrom
3.075 -7.912 -4.700
4.086 -8.588 -1.920
-3.481 -3.143 0.502
ATOMIC_POSITIONS angstrom
V -1.678 -1.532 0.238
V 4.536 -14.737 -5.236
V -0.859 -4.879 -0.874
H 3.865 -9.934 -3.823
H 0.215 -11.182 -2.799
H -0.237 -9.655 -2.263
H -0.987 -8.063 -1.602
H 4.704 -11.570 -4.527
O 3.093 -9.396 -3.412
O 0.579 -10.222 -2.698
O 5.009 -16.311 -5.791
O -1.348 -3.317 -0.316
O 2.165 -5.867 -2.215
O 1.568 -13.774 -3.921
O 3.920 -12.949 -4.577
O -0.222 -6.678 -1.544
```

* volume: 8.28 Å³ per atom
* magnetic moment: 4.00 μB/cell
* E: -137.59 eV/cell

---

Here is an optimized crystal structure of VHO2 from the Materials Project. Energies are from meta-GGA r2SCAN. Values from VASP.

```
&SYSTEM
  ibrav = 0, nat = 16, ntyp = 3
/
ATOMIC_SPECIES
V 50.94 V.upf
H 1.01 H.upf
O 16.00 O.upf
CELL_PARAMETERS angstrom
3.081 0.000 0.000
0.000 4.592 0.000
0.000 0.000 9.843
ATOMIC_POSITIONS angstrom
V 0.000 1.387 6.447
V 0.000 3.205 1.526
V 1.541 0.909 3.577
V 1.541 3.682 8.498
H 0.000 2.981 4.166
H 0.000 1.611 9.087
H 1.541 3.907 5.858
H 1.541 0.685 0.936
O 0.000 4.397 3.017
O 0.000 0.195 7.939
O 1.541 2.491 7.006
O 1.541 2.101 2.085
O 0.000 2.048 4.472
O 0.000 2.544 9.394
O 1.541 0.249 5.552
O 1.541 4.343 0.630
```

* volume: 8.70 Å³ per atom
* magnetic moment: 8.00 μB/cell
* E: -151.03 eV/cell

---

Here is an optimized crystal structure of YbH3O3 from the Materials Project. Energies are from meta-GGA r2SCAN. Values from VASP.

```
&SYSTEM
  ibrav = 0, nat = 14, ntyp = 3
/
ATOMIC_SPECIES
Yb 173.04 Yb.upf
H 1.01 H.upf
O 16.00 O.upf
CELL_PARAMETERS angstrom
3.093 -5.357 0.000
3.093 5.357 0.000
0.000 0.000 3.414
ATOMIC_POSITIONS angstrom
Yb 3.093 1.786 0.853
Yb 3.093 -1.786 2.560
H 4.878 -0.721 0.853
H 3.123 -3.864 0.853
H 1.278 -0.772 0.853
H 1.308 0.721 2.560
H 3.063 3.864 2.560
H 4.908 0.772 2.560
O 4.689 -1.668 0.853
O 2.397 -3.227 0.853
O 2.193 -0.463 0.853
O 1.497 1.668 2.560
O 3.789 3.227 2.560
O 3.993 0.463 2.560
```

* volume: 8.08 Å³ per atom
* magnetic moment: 0.00 μB/cell
* E: -159.52 eV/cell

---

Here is an optimized crystal structure of YbHO2 from the Materials Project. Energies are from meta-GGA r2SCAN. Values from VASP.

```
&SYSTEM
  ibrav = 0, nat = 16, ntyp = 3
/
ATOMIC_SPECIES
Yb 173.04 Yb.upf
H 1.01 H.upf
O 16.00 O.upf
CELL_PARAMETERS angstrom
-4.179 3.288 1.079
-3.458 -4.020 -1.147
0.102 -1.530 5.058
ATOMIC_POSITIONS angstrom
Yb -3.809 -3.287 2.946
Yb -1.856 -0.874 1.431
Yb -3.686 0.413 4.063
Yb -5.721 -0.778 1.538
H -3.905 -2.517 0.387
H -1.800 -1.691 3.977
H -3.693 1.191 1.505
H -5.673 -1.510 4.110
O -1.669 -2.919 2.432
O -2.048 1.023 2.591
O 0.051 -0.765 2.529
O -3.768 -1.131 2.495
O -3.070 -2.295 -0.072
O -1.871 -1.024 4.689
O -4.547 1.252 1.031
O -5.584 -2.458 4.330
```

* volume: 9.72 Å³ per atom
* magnetic moment: 0.00 μB/cell
* E: -255.13 eV/cell

---

Here is an optimized crystal structure of YbHO2 from the Materials Project. Energies are from meta-GGA r2SCAN. Values from VASP.

```
&SYSTEM
  ibrav = 0, nat = 8, ntyp = 3
/
ATOMIC_SPECIES
Yb 173.04 Yb.upf
H 1.01 H.upf
O 16.00 O.upf
CELL_PARAMETERS angstrom
2.539 -2.434 0.296
0.973 0.519 -4.078
3.147 3.674 3.213
ATOMIC_POSITIONS angstrom
Yb 1.553 0.257 -0.679
Yb 5.106 1.501 0.110
H 3.430 2.047 -2.071
H 3.229 -0.288 1.502
O 1.550 -0.013 -2.884
O 5.109 1.772 2.315
O 3.133 1.846 -1.175
O 3.526 -0.088 0.606
```

* volume: 10.21 Å³ per atom
* magnetic moment: 0.00 μB/cell
* E: -127.55 eV/cell

---

Here is an optimized crystal structure of Sr2H6Os from the Materials Project. Energies are from meta-GGA r2SCAN. Values from VASP.

```
&SYSTEM
  ibrav = 0, nat = 9, ntyp = 3
/
ATOMIC_SPECIES
Sr 87.62 Sr.upf
H 1.01 H.upf
Os 190.23 Os.upf
CELL_PARAMETERS angstrom
2.318 -4.396 2.090
-1.404 -1.710 4.917
-2.851 -4.541 0.563
ATOMIC_POSITIONS angstrom
Sr -1.453 -7.985 5.677
Sr -0.484 -2.662 1.892
H 0.062 -5.752 5.549
H -1.207 -3.344 4.404
H 0.831 -4.816 2.856
H -1.999 -4.895 2.020
H -0.730 -7.303 3.164
H -2.769 -5.831 4.713
Os 0.000 0.000 0.000
```

* volume: 12.31 Å³ per atom
* magnetic moment: 0.00 μB/cell
* E: -110.18 eV/cell

---

Here is an optimized crystal structure of SiP4H8 from the Materials Project. Energies are from meta-GGA r2SCAN. Values from VASP.

```
&SYSTEM
  ibrav = 0, nat = 52, ntyp = 3
/
ATOMIC_SPECIES
Si 28.09 Si.upf
P 30.97 P.upf
H 1.01 H.upf
CELL_PARAMETERS angstrom
-5.397 2.392 4.536
-7.236 -1.063 -8.049
-3.411 -10.481 1.468
ATOMIC_POSITIONS angstrom
Si -11.722 -2.274 -1.323
Si -4.615 -0.753 0.223
Si -4.322 -6.879 -0.722
Si -11.429 -8.400 -2.268
P -12.778 -8.182 -0.463
P -6.087 -5.717 0.089
P -3.266 -0.971 -1.583
P -9.956 -3.436 -2.135
P -7.971 -6.161 -5.464
P -7.761 -9.126 2.458
P -8.073 -2.991 3.419
P -8.283 -0.027 -4.503
P -11.990 -6.997 -3.942
P -3.525 -8.387 0.753
P -4.054 -2.156 1.897
P -12.519 -0.766 -2.799
P -5.731 -3.641 -3.934
P -6.761 -1.090 -0.397
P -10.313 -5.512 1.889
P -9.282 -8.063 -1.649
H -10.597 -10.432 -3.932
H -7.260 -3.913 2.711
H -5.446 1.279 1.887
H -8.784 -5.239 -4.757
H -7.501 -0.567 -3.450
H -8.712 -2.515 2.246
H -8.543 -8.586 1.405
H -7.332 -6.638 -4.291
H -12.557 -1.683 -3.880
H -2.674 -1.834 1.851
H -3.486 -7.470 1.835
H -13.370 -7.319 -3.896
H -11.235 -0.267 -3.131
H -3.927 -3.280 1.044
H -4.809 -8.886 1.086
H -12.117 -5.873 -3.089
H -9.382 -6.649 -1.608
H -11.013 -6.572 2.521
H -6.661 -2.504 -0.437
H -5.031 -2.581 -4.566
H -9.522 -3.878 -0.856
H -4.167 -0.322 -2.469
H -6.521 -5.275 -1.189
H -11.876 -8.831 0.423
H -9.100 -2.305 -2.133
H -3.750 -2.267 -1.897
H -6.944 -6.848 0.088
H -12.294 -6.886 -0.148
H -8.780 -8.092 -2.974
H -9.103 -6.242 1.776
H -7.264 -1.061 0.928
H -6.940 -2.911 -3.821
```

* volume: 16.97 Å³ per atom
* magnetic moment: 0.00 μB/cell
* E: -292.05 eV/cell

---

Here is an optimized crystal structure of PaH3 from the Materials Project. Energies are from meta-GGA r2SCAN. Values from VASP.

```
&SYSTEM
  ibrav = 0, nat = 32, ntyp = 2
/
ATOMIC_SPECIES
Pa 231.04 Pa.upf
H 1.01 H.upf
CELL_PARAMETERS angstrom
-1.569 4.774 4.440
-6.460 -1.810 -0.337
0.959 -4.356 5.023
ATOMIC_POSITIONS angstrom
Pa 0.000 0.000 0.000
Pa -3.535 -0.696 4.563
Pa 0.087 -0.985 3.621
Pa -0.697 1.402 5.842
Pa -2.991 -1.990 1.082
Pa -2.510 -4.177 3.603
Pa -5.624 1.031 1.968
Pa -2.406 1.933 2.136
H -0.710 -1.603 1.472
H -1.426 -0.822 5.444
H -5.645 -0.571 3.683
H -5.011 0.474 5.860
H -4.057 -2.427 3.162
H -3.002 -2.756 5.403
H -3.486 -1.282 6.774
H -0.328 0.776 2.125
H -2.204 0.187 0.583
H -5.826 2.776 3.520
H 0.334 -2.233 5.595
H -3.288 3.487 3.653
H -0.944 2.650 3.868
H -0.282 -0.359 7.338
H -4.741 -0.524 0.451
H -4.791 -4.564 3.214
H -0.333 -3.315 3.446
H -5.168 -2.852 1.240
H -4.069 1.363 3.724
H -3.584 -0.111 2.353
H -3.013 1.034 5.964
H -2.059 -1.867 3.266
H -5.347 -1.921 5.239
H -1.723 0.528 3.887
```

* volume: 9.46 Å³ per atom
* magnetic moment: 13.29 μB/cell
* E: -711.30 eV/cell

---

Here is an optimized crystal structure of HPd from the Materials Project. Energies are from meta-GGA r2SCAN. Values from VASP.

```
&SYSTEM
  ibrav = 0, nat = 2, ntyp = 2
/
ATOMIC_SPECIES
H 1.01 H.upf
Pd 106.42 Pd.upf
CELL_PARAMETERS angstrom
2.516 0.000 1.452
0.839 2.372 1.452
0.000 0.000 2.905
ATOMIC_POSITIONS angstrom
H 0.000 0.000 0.000
Pd 1.677 1.186 2.905
```

* volume: 8.67 Å³ per atom
* magnetic moment: 0.00 μB/cell
* energy above the lowest structure with this stoichiometry: 33.1 meV/atom